[1]
Entry from the Materials Project database: a relaxed AlCoW2O8 crystal (PBE with a Hubbard U).

Properties
energy above the most stable polymorph in this dataset	0.0	meV per atom

CIF file:
```
data_AlCoW2O8
_chemical_formula_sum 'Al2 Co2 W4 O16'
_space_group_name_H-M_alt 'P -1'
_space_group_IT_number 2
_cell_length_a 5.091
_cell_length_b 5.628
_cell_length_c 9.172
_cell_angle_alpha 89.86
_cell_angle_beta 89.19
_cell_angle_gamma 88.94
loop_
_space_group_symop_operation_xyz
'x,y,z'
'-x,-y,-z'
loop_
_atom_site_label
_atom_site_type_symbol
_atom_site_fract_x
_atom_site_fract_y
_atom_site_fract_z
Al1 Al 0.249 0.153 0.239
Co1 Co 0.248 0.146 0.759
W1 W 0.245 0.672 0.500
W2 W 0.249 0.664 0.998
O1 O 0.068 0.383 0.611
O2 O 0.070 0.860 0.637
O3 O 0.082 0.381 0.120
O4 O 0.114 0.892 0.133
O5 O 0.381 0.896 0.374
O6 O 0.411 0.385 0.889
O7 O 0.424 0.384 0.390
O8 O 0.431 0.869 0.855
```

---

[2]
Entry from the Materials Project database: a relaxed AlCoW2O8 crystal (PBE with a Hubbard U).

Properties
piezoelectric modulus e_max	4.5	C/m2
energy above the most stable polymorph in this dataset	78.5	meV per atom

CIF file:
```
data_AlCoW2O8
_chemical_formula_sum 'Al1 Co1 W2 O8'
_space_group_name_H-M_alt 'P 1'
_space_group_IT_number 1
_cell_length_a 5.060
_cell_length_b 5.472
_cell_length_c 5.743
_cell_angle_alpha 73.54
_cell_angle_beta 89.85
_cell_angle_gamma 69.13
loop_
_space_group_symop_operation_xyz
'x,y,z'
loop_
_atom_site_label
_atom_site_type_symbol
_atom_site_fract_x
_atom_site_fract_y
_atom_site_fract_z
Al1 Al 0.000 0.000 0.000
Co1 Co 0.558 0.984 0.457
W1 W 0.306 0.457 0.751
W2 W 0.820 0.448 0.387
O1 O 0.213 0.245 0.520
O2 O 0.238 0.178 0.014
O3 O 0.266 0.736 0.880
O4 O 0.428 0.658 0.414
O5 O 0.721 0.202 0.735
O6 O 0.785 0.187 0.241
O7 O 0.863 0.718 0.139
O8 O 0.881 0.642 0.624
```